[1]
Ca4Nb2O9: optimized geometry, GGA-PBE.

Lattice parameters (Å, degrees): 9.944 5.587 17.268 90.00 124.02 90.00
Fractional positions:
Ca  0.000  0.000  0.000
Ca  0.000  0.500  0.500
Ca  0.045  0.020  0.391
Ca  0.045  0.480  0.891
Ca  0.286  0.502  0.770
Ca  0.286  0.998  0.270
Ca  0.379  0.015  0.075
Ca  0.379  0.485  0.575
Ca  0.500  0.000  0.500
Ca  0.500  0.500  0.000
Ca  0.621  0.515  0.425
Ca  0.621  0.985  0.925
Ca  0.714  0.002  0.730
Ca  0.714  0.498  0.230
Ca  0.955  0.520  0.109
Ca  0.955  0.980  0.609
Nb  0.177  0.511  0.338
Nb  0.177  0.989  0.838
Nb  0.329  0.507  0.161
Nb  0.329  0.993  0.661
Nb  0.671  0.007  0.339
Nb  0.671  0.493  0.839
Nb  0.823  0.011  0.162
Nb  0.823  0.489  0.662
O  0.048  0.699  0.750
O  0.048  0.801  0.250
O  0.125  0.618  0.425
O  0.125  0.882  0.925
O  0.171  0.170  0.550
O  0.171  0.330  0.050
O  0.199  0.701  0.629
O  0.199  0.799  0.129
O  0.222  0.094  0.734
O  0.222  0.406  0.234
O  0.263  0.209  0.403
O  0.263  0.291  0.903
O  0.381  0.678  0.399
O  0.381  0.822  0.899
O  0.445  0.620  0.107
O  0.445  0.880  0.607
O  0.478  0.213  0.217
O  0.478  0.287  0.717
O  0.522  0.713  0.283
O  0.522  0.787  0.783
O  0.555  0.120  0.393
O  0.555  0.380  0.893
O  0.619  0.178  0.101
O  0.619  0.322  0.601
O  0.737  0.709  0.097
O  0.737  0.791  0.597
O  0.778  0.594  0.766
O  0.778  0.906  0.266
O  0.801  0.201  0.871
O  0.801  0.299  0.371
O  0.829  0.670  0.950
O  0.829  0.830  0.450
O  0.875  0.118  0.075
O  0.875  0.382  0.575
O  0.952  0.199  0.750
O  0.952  0.301  0.250

Values from the calculation:
For the total energy, the calculation gives -7.773 eV/atom. The formation energy comes out at -50.03 eV per formula unit. Its energy above the most stable polymorph in this dataset is 0.0000 eV/atom.

=====

[2]
Ca4Nb2O9: optimized geometry, GGA-PBE.

Lattice parameters (Å, degrees): 8.026 5.849 18.606 90.00 115.11 90.00
Fractional positions:
Ca  0.078  0.065  0.332
Ca  0.078  0.435  0.832
Ca  0.163  0.000  0.165
Ca  0.163  0.500  0.665
Ca  0.257  0.551  0.507
Ca  0.257  0.949  0.007
Ca  0.407  0.055  0.662
Ca  0.407  0.445  0.162
Ca  0.593  0.555  0.838
Ca  0.593  0.945  0.338
Ca  0.743  0.051  0.993
Ca  0.743  0.449  0.493
Ca  0.837  0.000  0.835
Ca  0.837  0.500  0.335
Ca  0.922  0.565  0.168
Ca  0.922  0.935  0.668
Nb  0.000  0.000  0.500
Nb  0.000  0.500  0.000
Nb  0.321  0.513  0.330
Nb  0.321  0.987  0.830
Nb  0.500  0.000  0.500
Nb  0.500  0.500  0.000
Nb  0.679  0.013  0.170
Nb  0.679  0.487  0.670
O  0.113  0.213  0.056
O  0.113  0.287  0.556
O  0.149  0.054  0.878
O  0.149  0.446  0.378
O  0.151  0.670  0.099
O  0.151  0.830  0.599
O  0.184  0.178  0.740
O  0.184  0.322  0.240
O  0.205  0.708  0.779
O  0.205  0.792  0.279
O  0.220  0.539  0.966
O  0.220  0.961  0.466
O  0.462  0.195  0.404
O  0.462  0.305  0.904
O  0.470  0.046  0.199
O  0.470  0.454  0.699
O  0.491  0.713  0.437
O  0.491  0.787  0.937
O  0.509  0.213  0.063
O  0.509  0.287  0.563
O  0.530  0.546  0.301
O  0.530  0.954  0.801
O  0.538  0.695  0.096
O  0.538  0.805  0.596
O  0.780  0.039  0.534
O  0.780  0.461  0.034
O  0.795  0.208  0.721
O  0.795  0.292  0.221
O  0.816  0.678  0.760
O  0.816  0.822  0.260
O  0.849  0.170  0.401
O  0.849  0.330  0.901
O  0.851  0.554  0.622
O  0.851  0.946  0.122
O  0.887  0.713  0.444
O  0.887  0.787  0.944

Values from the calculation:
For the total energy, the calculation gives -7.757 eV/atom. The formation energy comes out at -49.78 eV per formula unit. The total magnetic moment comes out at 0.00 Bohr magnetons per cell. Its energy above the most stable polymorph in this dataset is 0.0163 eV/atom.

=====

[3]
CaNb2O4: optimized geometry, GGA-PBE.

Lattice parameters (Å, degrees): 5.117 12.005 5.912 90.00 90.00 90.00
Fractional positions:
Ca  0.192  0.004  0.250
Ca  0.192  0.496  0.750
Ca  0.808  0.504  0.250
Ca  0.808  0.996  0.750
Nb  0.159  0.746  0.250
Nb  0.159  0.754  0.750
Nb  0.344  0.250  0.000
Nb  0.344  0.250  0.500
Nb  0.656  0.750  0.000
Nb  0.656  0.750  0.500
Nb  0.841  0.246  0.250
Nb  0.841  0.254  0.750
O  0.008  0.137  0.504
O  0.008  0.137  0.996
O  0.008  0.363  0.004
O  0.008  0.363  0.496
O  0.486  0.643  0.750
O  0.486  0.857  0.250
O  0.494  0.640  0.250
O  0.494  0.860  0.750
O  0.506  0.140  0.250
O  0.506  0.360  0.750
O  0.514  0.143  0.750
O  0.514  0.357  0.250
O  0.992  0.637  0.504
O  0.992  0.637  0.996
O  0.992  0.863  0.004
O  0.992  0.863  0.496

Values from the calculation:
For the total energy, the calculation gives -8.632 eV/atom. The formation energy comes out at -21.17 eV per formula unit.

=====

[4]
CaNb2P2O11: optimized geometry, GGA-PBE.

Lattice parameters (Å, degrees): 9.351 9.351 5.296 92.93 92.93 71.88
Fractional positions:
Ca  0.106  0.894  0.750
Ca  0.894  0.106  0.250
Nb  0.255  0.495  0.762
Nb  0.495  0.255  0.262
Nb  0.505  0.745  0.738
Nb  0.745  0.505  0.238
P  0.020  0.686  0.255
P  0.314  0.980  0.245
P  0.686  0.020  0.755
P  0.980  0.314  0.745
O  0.015  0.153  0.635
O  0.095  0.668  0.995
O  0.126  0.360  0.786
O  0.126  0.577  0.447
O  0.153  0.015  0.135
O  0.332  0.905  0.505
O  0.334  0.666  0.750
O  0.360  0.126  0.286
O  0.362  0.411  0.073
O  0.411  0.362  0.573
O  0.423  0.874  0.053
O  0.577  0.126  0.947
O  0.589  0.638  0.427
O  0.638  0.589  0.927
O  0.640  0.874  0.714
O  0.666  0.334  0.250
O  0.668  0.095  0.495
O  0.847  0.985  0.865
O  0.874  0.423  0.553
O  0.874  0.640  0.214
O  0.905  0.332  0.005
O  0.985  0.847  0.365

Values from the calculation:
For the total energy, the calculation gives -8.052 eV/atom. The formation energy comes out at -48.92 eV per formula unit.